1.
## Zr3Bi (PBE-GGA)

Data for an optimized crystal structure of Zr3Bi.

Cell lengths 6.365, 6.365, 5.313 Å; angles 90.00, 90.00, 120.00 degrees
Element x y z (fractional)
Zr1 0.163 0.326 0.250
Zr2 0.163 0.837 0.250
Zr3 0.326 0.163 0.750
Zr4 0.674 0.837 0.250
Zr5 0.837 0.163 0.750
Zr6 0.837 0.674 0.750
Bi1 0.333 0.667 0.750
Bi2 0.667 0.333 0.250

Output
Total DFT energy (no corrections): -60.6 eV per cell



2.
## Eu3Rh4Pb13 (PBE-GGA)

Data for an optimized crystal structure of Eu3Rh4Pb13.

Cell lengths 10.232, 10.232, 10.232 Å; angles 90.00, 90.00, 90.00 degrees
Element x y z (fractional)
Eu1 0.000 0.250 0.500
Eu2 0.000 0.750 0.500
Eu3 0.250 0.500 0.000
Eu4 0.500 0.000 0.250
Eu5 0.500 0.000 0.750
Eu6 0.750 0.500 0.000
Rh1 0.250 0.250 0.250
Rh2 0.250 0.250 0.750
Rh3 0.250 0.750 0.250
Rh4 0.250 0.750 0.750
Rh5 0.750 0.250 0.250
Rh6 0.750 0.250 0.750
Rh7 0.750 0.750 0.250
Rh8 0.750 0.750 0.750
Pb1 0.000 0.000 0.000
Pb2 0.000 0.306 0.155
Pb3 0.000 0.306 0.845
Pb4 0.000 0.694 0.155
Pb5 0.000 0.694 0.845
Pb6 0.155 0.000 0.306
Pb7 0.155 0.000 0.694
Pb8 0.194 0.500 0.345
Pb9 0.194 0.500 0.655
Pb10 0.306 0.155 0.000
Pb11 0.306 0.845 0.000
Pb12 0.345 0.194 0.500
Pb13 0.345 0.806 0.500
Pb14 0.500 0.345 0.194
Pb15 0.500 0.345 0.806
Pb16 0.500 0.500 0.500
Pb17 0.500 0.655 0.194
Pb18 0.500 0.655 0.806
Pb19 0.655 0.194 0.500
Pb20 0.655 0.806 0.500
Pb21 0.694 0.155 0.000
Pb22 0.694 0.845 0.000
Pb23 0.806 0.500 0.345
Pb24 0.806 0.500 0.655
Pb25 0.845 0.000 0.306
Pb26 0.845 0.000 0.694

Output
Total DFT energy (no corrections): -228.4 eV per cell



3.
## Ba7Ru4Cl2O15 (PBE-GGA)

Data for an optimized crystal structure of Ba7Ru4Cl2O15.

Cell lengths 17.742, 17.742, 17.742 Å; angles 19.10, 19.10, 19.10 degrees
Element x y z (fractional)
Ba1 0.000 0.000 0.000
Ba2 0.084 0.084 0.084
Ba3 0.206 0.206 0.206
Ba4 0.286 0.286 0.286
Ba5 0.714 0.714 0.714
Ba6 0.794 0.794 0.794
Ba7 0.916 0.916 0.916
Ru1 0.354 0.354 0.354
Ru2 0.406 0.406 0.406
Ru3 0.594 0.594 0.594
Ru4 0.646 0.646 0.646
Cl1 0.144 0.144 0.144
Cl2 0.856 0.856 0.856
O1 0.000 0.500 0.500
O2 0.104 0.585 0.585
O3 0.226 0.226 0.684
O4 0.226 0.684 0.226
O5 0.316 0.774 0.774
O6 0.415 0.415 0.896
O7 0.415 0.896 0.415
O8 0.500 0.000 0.500
O9 0.500 0.500 0.000
O10 0.585 0.104 0.585
O11 0.585 0.585 0.104
O12 0.684 0.226 0.226
O13 0.774 0.316 0.774
O14 0.774 0.774 0.316
O15 0.896 0.415 0.415

Output
Total DFT energy (no corrections): -183.8 eV per cell
MP2020-corrected energy: -0.2547 hartree per atom



4.
## NpSi2 (PBE-GGA)

Data for an optimized crystal structure of NpSi2.

Cell lengths 7.650, 7.650, 7.650 Å; angles 150.22, 150.22, 42.63 degrees
Element x y z (fractional)
Np1 0.375 0.625 0.750
Np2 0.625 0.375 0.250
Si1 0.043 0.793 0.250
Si2 0.207 0.957 0.250
Si3 0.793 0.043 0.750
Si4 0.957 0.207 0.750

Output
Total DFT energy (no corrections): -49.2 eV per cell
MP2020-corrected energy: -0.2997 hartree per atom



5.
## MgP4O11 (PBE-GGA)

Data for an optimized crystal structure of MgP4O11.

Cell lengths 5.473, 22.568, 7.575 Å; angles 90.00, 111.26, 90.00 degrees
Element x y z (fractional)
Mg1 0.002 0.115 0.365
Mg2 0.002 0.385 0.865
Mg3 0.998 0.615 0.135
Mg4 0.998 0.885 0.635
P1 0.315 0.071 0.806
P2 0.315 0.429 0.306
P3 0.325 0.679 0.559
P4 0.325 0.821 0.059
P5 0.402 0.037 0.200
P6 0.402 0.463 0.700
P7 0.404 0.695 0.972
P8 0.404 0.805 0.472
P9 0.596 0.195 0.528
P10 0.596 0.305 0.028
P11 0.598 0.537 0.300
P12 0.598 0.963 0.800
P13 0.675 0.179 0.941
P14 0.675 0.321 0.441
P15 0.685 0.571 0.694
P16 0.685 0.929 0.194
O1 0.087 0.074 0.628
O2 0.087 0.426 0.128
O3 0.093 0.657 0.404
O4 0.093 0.843 0.904
O5 0.200 0.680 0.051
O6 0.200 0.820 0.551
O7 0.216 0.049 0.297
O8 0.216 0.451 0.797
O9 0.235 0.047 0.971
O10 0.235 0.453 0.471
O11 0.259 0.695 0.739
O12 0.259 0.805 0.239
O13 0.338 0.566 0.252
O14 0.338 0.934 0.752
O15 0.341 0.165 0.476
O16 0.341 0.335 0.976
O17 0.431 0.135 0.875
O18 0.431 0.365 0.375
O19 0.438 0.536 0.699
O20 0.438 0.964 0.199
O21 0.469 0.734 0.510
O22 0.469 0.766 0.010
O23 0.531 0.234 0.990
O24 0.531 0.266 0.490
O25 0.562 0.036 0.801
O26 0.562 0.464 0.301
O27 0.569 0.635 0.625
O28 0.569 0.865 0.125
O29 0.659 0.665 0.024
O30 0.659 0.835 0.524
O31 0.662 0.066 0.248
O32 0.662 0.434 0.748
O33 0.741 0.195 0.761
O34 0.741 0.305 0.261
O35 0.765 0.547 0.529
O36 0.765 0.953 0.029
O37 0.784 0.549 0.203
O38 0.784 0.951 0.703
O39 0.800 0.180 0.449
O40 0.800 0.320 0.949
O41 0.907 0.157 0.096
O42 0.907 0.343 0.596
O43 0.913 0.574 0.872
O44 0.913 0.926 0.372

Output
Total DFT energy (no corrections): -453.3 eV per cell
MP2020-corrected energy: -0.2776 hartree per atom



6.
## Na2PdO6 (PBE-GGA)

Data for an optimized crystal structure of Na2PdO6.

Cell lengths 6.053, 6.053, 3.822 Å; angles 99.34, 99.34, 115.54 degrees
Element x y z (fractional)
Na1 0.150 0.850 0.000
Na2 0.850 0.150 0.000
Pd1 0.500 0.500 0.000
O1 0.199 0.199 0.743
O2 0.282 0.587 0.321
O3 0.413 0.718 0.679
O4 0.587 0.282 0.321
O5 0.718 0.413 0.679
O6 0.801 0.801 0.257

Output
Total DFT energy (no corrections): -42.5 eV per cell
MP2020-corrected energy: -0.1774 hartree per atom
Distance to the lowest polymorph of the same formula: 0.0 meV per atom



7.
## Sc2CrB6 (PBE-GGA)

Data for an optimized crystal structure of Sc2CrB6.

Cell lengths 8.901, 11.171, 3.371 Å; angles 90.00, 90.00, 90.00 degrees
Element x y z (fractional)
Sc1 0.057 0.131 0.000
Sc2 0.177 0.415 0.000
Sc3 0.323 0.915 0.000
Sc4 0.443 0.631 0.000
Sc5 0.557 0.369 0.000
Sc6 0.677 0.085 0.000
Sc7 0.823 0.585 0.000
Sc8 0.943 0.869 0.000
Cr1 0.141 0.681 0.000
Cr2 0.359 0.181 0.000
Cr3 0.641 0.819 0.000
Cr4 0.859 0.319 0.000
B1 0.019 0.288 0.500
B2 0.054 0.565 0.500
B3 0.098 0.973 0.500
B4 0.131 0.818 0.500
B5 0.205 0.237 0.500
B6 0.248 0.080 0.500
B7 0.252 0.580 0.500
B8 0.295 0.737 0.500
B9 0.369 0.318 0.500
B10 0.402 0.473 0.500
B11 0.446 0.065 0.500
B12 0.481 0.788 0.500
B13 0.519 0.212 0.500
B14 0.554 0.935 0.500
B15 0.598 0.527 0.500
B16 0.631 0.682 0.500
B17 0.705 0.263 0.500
B18 0.748 0.420 0.500
B19 0.752 0.920 0.500
B20 0.795 0.763 0.500
B21 0.869 0.182 0.500
B22 0.902 0.027 0.500
B23 0.946 0.435 0.500
B24 0.981 0.712 0.500

Output
Total DFT energy (no corrections): -276.4 eV per cell



8.
## HfTe2 (PBE-GGA)

Data for an optimized crystal structure of HfTe2.

Cell lengths 4.018, 4.018, 7.629 Å; angles 90.00, 90.00, 120.00 degrees
Element x y z (fractional)
Hf1 0.000 0.000 0.000
Te1 0.333 0.667 0.228
Te2 0.667 0.333 0.772

Output
Total DFT energy (no corrections): -18.7 eV per cell
MP2020-corrected energy: -0.2396 hartree per atom



9.
## ErFe6Ge6 (PBE-GGA)

Data for an optimized crystal structure of ErFe6Ge6.

Cell lengths 5.114, 5.114, 8.120 Å; angles 90.00, 90.00, 120.00 degrees
Element x y z (fractional)
Er1 0.000 0.000 0.000
Fe1 0.000 0.500 0.250
Fe2 0.000 0.500 0.750
Fe3 0.500 0.000 0.250
Fe4 0.500 0.000 0.750
Fe5 0.500 0.500 0.250
Fe6 0.500 0.500 0.750
Ge1 0.000 0.000 0.346
Ge2 0.000 0.000 0.654
Ge3 0.333 0.667 0.000
Ge4 0.333 0.667 0.500
Ge5 0.667 0.333 0.000
Ge6 0.667 0.333 0.500

Output
Total DFT energy (no corrections): -86.7 eV per cell



10.
## TlSbS2 (PBE-GGA)

Data for an optimized crystal structure of TlSbS2.

Cell lengths 4.123, 4.123, 5.827 Å; angles 90.00, 90.00, 90.00 degrees
Element x y z (fractional)
Tl1 0.000 0.000 0.000
Sb1 0.500 0.500 0.500
S1 0.000 0.000 0.500
S2 0.500 0.500 0.000

Output
Total DFT energy (no corrections): -15.2 eV per cell
MP2020-corrected energy: -0.1485 hartree per atom



11.
## LuAlO3 (PBE-GGA)

Data for an optimized crystal structure of LuAlO3.

Cell lengths 3.390, 3.390, 11.469 Å; angles 90.00, 90.00, 120.00 degrees
Element x y z (fractional)
Lu1 0.000 0.000 0.000
Lu2 0.000 0.000 0.500
Al1 0.333 0.667 0.250
Al2 0.667 0.333 0.750
O1 0.000 0.000 0.250
O2 0.000 0.000 0.750
O3 0.333 0.667 0.090
O4 0.333 0.667 0.410
O5 0.667 0.333 0.590
O6 0.667 0.333 0.910

Output
Total DFT energy (no corrections): -79.5 eV per cell
MP2020-corrected energy: -0.3074 hartree per atom



12.
## GdHSe (PBE-GGA)

Data for an optimized crystal structure of GdHSe.

Cell lengths 3.904, 3.904, 3.959 Å; angles 90.00, 90.00, 120.00 degrees
Element x y z (fractional)
Gd1 0.000 0.000 0.000
H1 0.333 0.667 0.000
Se1 0.667 0.333 0.500

Output
Total DFT energy (no corrections): -25.3 eV per cell
MP2020-corrected energy: -0.3155 hartree per atom